[1]
## K2Y4Sn2S11 (PBE-GGA)

Data for a relaxed structure of K2Y4Sn2S11.

Results
Energy in eV/atom: -5.758
ΔE_f in eV per atom: -1.754

abc: 8.700 8.700 28.336
angles: 90.00 90.00 90.00
Positions (direct):
K 0.250 0.250 0.127
K 0.250 0.250 0.304
K 0.250 0.250 0.627
K 0.250 0.250 0.804
K 0.750 0.750 0.196
K 0.750 0.750 0.373
K 0.750 0.750 0.696
K 0.750 0.750 0.873
Y 0.051 0.644 0.054
Y 0.051 0.856 0.554
Y 0.144 0.551 0.446
Y 0.144 0.949 0.946
Y 0.356 0.551 0.946
Y 0.356 0.949 0.446
Y 0.449 0.644 0.554
Y 0.449 0.856 0.054
Y 0.551 0.144 0.946
Y 0.551 0.356 0.446
Y 0.644 0.051 0.554
Y 0.644 0.449 0.054
Y 0.856 0.051 0.054
Y 0.856 0.449 0.554
Y 0.949 0.144 0.446
Y 0.949 0.356 0.946
Sn 0.250 0.750 0.191
Sn 0.250 0.750 0.309
Sn 0.250 0.750 0.691
Sn 0.250 0.750 0.809
Sn 0.750 0.250 0.191
Sn 0.750 0.250 0.309
Sn 0.750 0.250 0.691
Sn 0.750 0.250 0.809
S 0.060 0.645 0.955
S 0.060 0.855 0.455
S 0.074 0.589 0.148
S 0.074 0.911 0.648
S 0.089 0.574 0.352
S 0.089 0.926 0.852
S 0.103 0.603 0.750
S 0.103 0.897 0.250
S 0.145 0.560 0.545
S 0.145 0.940 0.045
S 0.250 0.250 0.441
S 0.250 0.250 0.941
S 0.355 0.560 0.045
S 0.355 0.940 0.545
S 0.397 0.603 0.250
S 0.397 0.897 0.750
S 0.411 0.574 0.852
S 0.411 0.926 0.352
S 0.426 0.589 0.648
S 0.426 0.911 0.148
S 0.440 0.645 0.455
S 0.440 0.855 0.955
S 0.560 0.145 0.045
S 0.560 0.355 0.545
S 0.574 0.089 0.852
S 0.574 0.411 0.352
S 0.589 0.074 0.648
S 0.589 0.426 0.148
S 0.603 0.103 0.250
S 0.603 0.397 0.750
S 0.645 0.060 0.455
S 0.645 0.440 0.955
S 0.750 0.750 0.059
S 0.750 0.750 0.559
S 0.855 0.060 0.955
S 0.855 0.440 0.455
S 0.897 0.103 0.750
S 0.897 0.397 0.250
S 0.911 0.074 0.148
S 0.911 0.426 0.648
S 0.926 0.089 0.352
S 0.926 0.411 0.852
S 0.940 0.145 0.545
S 0.940 0.355 0.045


[2]
## PrP5 (PBE-GGA)

Data for a relaxed structure of PrP5.

Results
Energy in eV/atom: -5.840
ΔE_f in eV per atom: -0.532

abc: 5.082 9.633 5.495
angles: 90.00 102.02 90.00
Positions (direct):
Pr 0.009 0.250 0.348
Pr 0.991 0.750 0.652
P 0.292 0.250 0.901
P 0.295 0.530 0.402
P 0.295 0.970 0.402
P 0.385 0.590 0.048
P 0.385 0.910 0.048
P 0.615 0.090 0.952
P 0.615 0.410 0.952
P 0.705 0.030 0.598
P 0.705 0.470 0.598
P 0.708 0.750 0.099


[3]
## LiGdSe2 (PBE-GGA)

Data for a relaxed structure of LiGdSe2.

Results
Energy in eV/atom: -7.438
ΔE_f in eV per atom: -1.930

abc: 6.921 6.921 6.921
angles: 34.61 34.61 34.61
Positions (direct):
Li 0.000 0.000 0.000
Gd 0.500 0.500 0.500
Se 0.252 0.252 0.252
Se 0.748 0.748 0.748


[4]
## P3BrCl14 (PBE-GGA)

Data for a relaxed structure of P3BrCl14.

Results
Energy in eV/atom: -2.991
ΔE_f in eV per atom: -1.037
Piezoelectric modulus e_max in C/m²: 0.43

abc: 9.020 9.020 9.020
angles: 119.75 119.75 90.44
Positions (direct):
P 0.000 0.000 0.000
P 0.253 0.753 0.500
P 0.753 0.253 0.500
Br 0.504 0.504 0.000
Cl 0.016 0.378 0.710
Cl 0.113 0.212 0.324
Cl 0.170 0.170 0.000
Cl 0.212 0.887 0.099
Cl 0.306 0.016 0.639
Cl 0.337 0.699 0.710
Cl 0.378 0.668 0.361
Cl 0.627 0.337 0.638
Cl 0.668 0.306 0.290
Cl 0.699 0.989 0.362
Cl 0.788 0.113 0.901
Cl 0.830 0.830 0.000
Cl 0.887 0.788 0.676
Cl 0.989 0.627 0.290


[5]
## K3ReN3 (PBE-GGA)

Data for a relaxed structure of K3ReN3.

Results
Energy in eV/atom: -5.893
ΔE_f in eV per atom: -0.221

abc: 8.276 5.855 8.282
angles: 90.00 119.96 90.00
Positions (direct):
K 0.122 0.250 0.255
K 0.245 0.250 0.867
K 0.367 0.750 0.622
K 0.633 0.250 0.378
K 0.755 0.750 0.133
K 0.878 0.750 0.745
Re 0.333 0.750 0.167
Re 0.667 0.250 0.833
N 0.147 0.750 0.221
N 0.279 0.750 0.925
N 0.425 0.250 0.646
N 0.575 0.750 0.354
N 0.721 0.250 0.075
N 0.853 0.250 0.779


[6]
## ScAu (PBE-GGA)

Data for a relaxed structure of ScAu.

Results
Energy in eV/atom: -5.611
ΔE_f in eV per atom: -0.808

abc: 3.414 3.414 3.414
angles: 90.00 90.00 90.00
Positions (direct):
Sc 0.000 0.000 0.000
Au 0.500 0.500 0.500


[7]
## CsZn8 (PBE-GGA)

Data for a relaxed structure of CsZn8.

Results
Energy in eV/atom: -1.108
ΔE_f in eV per atom: 0.111

abc: 9.422 9.422 9.422
angles: 162.05 135.66 48.20
Positions (direct):
Cs 0.000 0.000 0.000
Zn 0.129 0.331 0.799
Zn 0.212 0.712 0.500
Zn 0.432 0.932 0.500
Zn 0.469 0.169 0.300
Zn 0.532 0.331 0.201
Zn 0.566 0.566 0.000
Zn 0.786 0.786 0.000
Zn 0.869 0.169 0.700


[8]
## Ti11BeO20 (PBE-GGA)

Data for a relaxed structure of Ti11BeO20.

Results
Energy in eV/atom: -8.851
ΔE_f in eV per atom: -3.357

abc: 7.216 7.735 13.139
angles: 90.21 93.19 104.80
Positions (direct):
Ti 0.002 0.294 0.132
Ti 0.004 0.204 0.374
Ti 0.012 0.421 0.702
Ti 0.036 0.934 0.210
Ti 0.302 0.706 0.085
Ti 0.315 0.209 0.580
Ti 0.320 0.446 0.924
Ti 0.320 0.586 0.513
Ti 0.321 0.071 0.015
Ti 0.334 0.933 0.430
Ti 0.354 0.129 0.786
Ti 0.646 0.871 0.214
Ti 0.666 0.067 0.570
Ti 0.679 0.929 0.985
Ti 0.680 0.414 0.487
Ti 0.680 0.554 0.076
Ti 0.685 0.791 0.420
Ti 0.698 0.294 0.915
Ti 0.964 0.066 0.790
Ti 0.988 0.579 0.298
Ti 0.996 0.796 0.626
Ti 0.998 0.706 0.868
Be 0.383 0.507 0.283
Be 0.617 0.493 0.717
O 0.135 0.895 0.767
O 0.155 0.614 0.621
O 0.155 0.740 0.196
O 0.159 0.542 0.834
O 0.160 0.401 0.268
O 0.162 0.041 0.336
O 0.163 0.240 0.701
O 0.167 0.117 0.120
O 0.169 0.960 0.548
O 0.171 0.454 0.045
O 0.172 0.826 0.978
O 0.175 0.328 0.481
O 0.175 0.676 0.405
O 0.190 0.182 0.901
O 0.489 0.605 0.186
O 0.493 0.956 0.102
O 0.495 0.106 0.672
O 0.498 0.179 0.468
O 0.498 0.672 0.982
O 0.499 0.539 0.393
O 0.501 0.461 0.607
O 0.502 0.328 0.018
O 0.502 0.821 0.532
O 0.505 0.894 0.328
O 0.507 0.044 0.898
O 0.511 0.395 0.814
O 0.810 0.818 0.099
O 0.825 0.324 0.595
O 0.825 0.672 0.519
O 0.828 0.174 0.022
O 0.829 0.546 0.955
O 0.831 0.040 0.452
O 0.833 0.883 0.880
O 0.837 0.760 0.299
O 0.838 0.959 0.664
O 0.840 0.599 0.732
O 0.841 0.458 0.166
O 0.845 0.260 0.804
O 0.845 0.386 0.379
O 0.865 0.105 0.233


[9]
## Th2Al7 (PBE-GGA)

Data for a relaxed structure of Th2Al7.

Results
Energy in eV/atom: -4.900
ΔE_f in eV per atom: -0.339

abc: 5.870 11.491 5.553
angles: 90.00 90.00 90.00
Positions (direct):
Th 0.144 0.147 0.000
Th 0.356 0.647 0.000
Th 0.644 0.353 0.000
Th 0.856 0.853 0.000
Al 0.000 0.000 0.500
Al 0.097 0.748 0.500
Al 0.148 0.409 0.238
Al 0.148 0.409 0.762
Al 0.352 0.909 0.238
Al 0.352 0.909 0.762
Al 0.403 0.248 0.500
Al 0.500 0.500 0.500
Al 0.597 0.752 0.500
Al 0.648 0.091 0.238
Al 0.648 0.091 0.762
Al 0.852 0.591 0.238
Al 0.852 0.591 0.762
Al 0.903 0.252 0.500


[10]
## Nb3Tl2Br9 (PBE-GGA)

Data for a relaxed structure of Nb3Tl2Br9.

Results
Energy in eV/atom: -4.472
ΔE_f in eV per atom: -1.261

abc: 10.183 10.183 10.391
angles: 104.84 104.84 111.92
Positions (direct):
Nb 0.039 0.215 0.635
Nb 0.104 0.104 0.375
Nb 0.215 0.039 0.635
Nb 0.785 0.961 0.365
Nb 0.896 0.896 0.625
Nb 0.961 0.785 0.365
Tl 0.240 0.550 0.161
Tl 0.450 0.760 0.839
Tl 0.550 0.240 0.161
Tl 0.760 0.450 0.839
Br 0.077 0.862 0.182
Br 0.093 0.510 0.823
Br 0.138 0.923 0.818
Br 0.171 0.390 0.512
Br 0.216 0.784 0.500
Br 0.245 0.245 0.209
Br 0.316 0.316 0.831
Br 0.390 0.171 0.512
Br 0.490 0.907 0.177
Br 0.510 0.093 0.823
Br 0.610 0.829 0.488
Br 0.684 0.684 0.169
Br 0.755 0.755 0.791
Br 0.784 0.216 0.500
Br 0.829 0.610 0.488
Br 0.862 0.077 0.182
Br 0.907 0.490 0.177
Br 0.923 0.138 0.818


[11]
## Te2W2SeS (PBE-GGA)

Data for a relaxed structure of Te2W2SeS.

Results
Energy above the lowest structure with this stoichiometry in meV/atom: 1
Energy in eV/atom: -6.963
ΔE_f in eV per atom: -0.408

abc: 3.397 3.397 38.822
angles: 90.00 90.00 120.00
Positions (direct):
Te 0.000 0.000 0.000
Te 0.000 0.000 0.097
Te 0.333 0.667 0.436
Te 0.333 0.667 0.533
W 0.000 0.000 0.485
W 0.000 0.000 0.861
W 0.333 0.667 0.049
W 0.333 0.667 0.673
Se 0.333 0.667 0.818
Se 0.333 0.667 0.903
S 0.000 0.000 0.634
S 0.000 0.000 0.712


[12]
## BaH4Cl2O2 (PBE-GGA)

Data for a relaxed structure of BaH4Cl2O2.

Results
Energy in eV/atom: -4.763
ΔE_f in eV per atom: -1.685

abc: 6.819 11.055 9.808
angles: 90.00 132.92 90.00
Positions (direct):
Ba 0.105 0.217 0.146
Ba 0.105 0.283 0.646
Ba 0.895 0.717 0.354
Ba 0.895 0.783 0.854
H 0.240 0.064 0.488
H 0.240 0.436 0.988
H 0.434 0.625 0.457
H 0.434 0.875 0.957
H 0.472 0.561 0.618
H 0.472 0.939 0.118
H 0.496 0.638 0.900
H 0.496 0.862 0.400
H 0.504 0.138 0.600
H 0.504 0.362 0.100
H 0.528 0.061 0.882
H 0.528 0.439 0.382
H 0.566 0.125 0.043
H 0.566 0.375 0.543
H 0.760 0.564 0.012
H 0.760 0.936 0.512
Cl 0.073 0.581 0.708
Cl 0.073 0.919 0.208
Cl 0.342 0.603 0.201
Cl 0.342 0.897 0.701
Cl 0.658 0.103 0.299
Cl 0.658 0.397 0.799
Cl 0.927 0.081 0.792
Cl 0.927 0.419 0.292
O 0.306 0.147 0.507
O 0.306 0.353 0.007
O 0.436 0.640 0.559
O 0.436 0.860 0.059
O 0.564 0.140 0.941
O 0.564 0.360 0.441
O 0.694 0.647 0.993
O 0.694 0.853 0.493